Entry 1:
The following is a DFT calculation (PBE) of a geometry-optimized Sr3Ho2B4O12 structure.

Symmetry: Pna2_1 (33)
Calculated formation energy: -3.37 eV/atom

abc: 7.388 8.689 16.334
angles: 90.00 90.00 90.00
Sites, in units of the cell vectors:
O 0.310 0.032 0.054
O 0.595 0.307 0.584
B 0.840 0.956 0.087
O 0.618 0.535 0.938
Ho 0.528 0.170 0.120
B 0.994 0.625 0.285
Sr 0.322 0.348 0.914
O 0.389 0.742 0.284
O 0.934 0.431 0.858
O 0.434 0.069 0.858
O 0.405 0.693 0.084
O 0.087 0.942 0.644
O 0.087 0.208 0.004
O 0.198 0.498 0.037
O 0.735 0.273 0.212
O 0.698 0.002 0.037
O 0.566 0.931 0.358
O 0.190 0.532 0.554
O 0.774 0.271 0.354
O 0.413 0.708 0.504
O 0.047 0.548 0.213
O 0.547 0.952 0.213
Sr 0.185 0.853 0.164
O 0.413 0.442 0.144
O 0.882 0.035 0.438
B 0.830 0.936 0.499
B 0.660 0.456 0.587
Sr 0.315 0.353 0.664
O 0.274 0.229 0.354
Ho 0.682 0.534 0.789
Ho 0.472 0.830 0.620
O 0.905 0.807 0.084
Sr 0.685 0.647 0.164
Ho 0.972 0.670 0.620
Sr 0.178 0.848 0.414
B 0.506 0.125 0.785
Ho 0.818 0.034 0.289
O 0.302 0.998 0.537
O 0.913 0.058 0.144
O 0.095 0.193 0.584
O 0.587 0.292 0.004
O 0.111 0.242 0.784
O 0.453 0.048 0.713
Sr 0.471 0.831 0.957
Sr 0.971 0.669 0.957
O 0.878 0.986 0.792
Sr 0.815 0.147 0.664
B 0.670 0.436 0.999
Ho 0.028 0.330 0.120
O 0.913 0.792 0.504
O 0.611 0.258 0.784
O 0.802 0.502 0.537
Sr 0.029 0.331 0.457
O 0.953 0.452 0.713
B 0.330 0.564 0.499
B 0.160 0.044 0.587
Sr 0.822 0.152 0.914
O 0.889 0.758 0.284
O 0.265 0.727 0.712
O 0.378 0.514 0.792
O 0.726 0.771 0.854
B 0.789 0.848 0.786
B 0.340 0.544 0.087
B 0.211 0.152 0.286
Ho 0.318 0.466 0.289
B 0.289 0.652 0.786
Sr 0.529 0.169 0.457
O 0.690 0.968 0.554
O 0.622 0.486 0.292
B 0.711 0.348 0.286
O 0.226 0.729 0.854
O 0.810 0.468 0.054
O 0.765 0.773 0.712
O 0.587 0.558 0.644
Sr 0.678 0.652 0.414
Ho 0.182 0.966 0.789
O 0.066 0.569 0.358
B 0.494 0.875 0.285
O 0.122 0.014 0.292
O 0.382 0.465 0.438
B 0.006 0.375 0.785
O 0.235 0.227 0.212
O 0.118 0.965 0.938
B 0.170 0.064 0.999

=====

Entry 2:
The following is a DFT calculation (PBE) of a geometry-optimized HoReB4 structure.

Symmetry: Pbam (55)
Calculated formation energy: -0.60 eV/atom

abc: 3.608 5.966 11.541
angles: 90.00 90.00 90.00
Sites, in units of the cell vectors:
B 0.500 0.523 0.692
B 0.500 0.386 0.453
B 0.500 0.636 0.969
Ho 0.000 0.627 0.150
B 0.500 0.023 0.808
B 0.500 0.864 0.469
B 0.500 0.614 0.547
Re 0.000 0.367 0.588
B 0.500 0.788 0.315
B 0.500 0.136 0.531
B 0.500 0.114 0.953
B 0.500 0.364 0.031
B 0.500 0.977 0.192
B 0.500 0.212 0.685
B 0.500 0.712 0.815
Ho 0.000 0.127 0.350
B 0.500 0.477 0.308
Re 0.000 0.633 0.412
Ho 0.000 0.373 0.850
Re 0.000 0.133 0.088
Ho 0.000 0.873 0.650
B 0.500 0.886 0.047
Re 0.000 0.867 0.912
B 0.500 0.288 0.185

=====

Entry 3:
The following is a DFT calculation (PBE) of a geometry-optimized Ho2B6Rh structure.

Symmetry: Pbam (55)
Calculated formation energy: -0.64 eV/atom

abc: 3.656 9.172 11.492
angles: 90.00 90.00 90.00
Sites, in units of the cell vectors:
B 0.000 0.016 0.788
B 0.000 0.516 0.712
B 0.000 0.250 0.579
Ho 0.500 0.445 0.126
B 0.000 0.889 0.530
B 0.000 0.205 0.735
B 0.000 0.947 0.934
Rh 0.500 0.360 0.678
B 0.000 0.750 0.921
B 0.000 0.866 0.684
Ho 0.500 0.945 0.374
B 0.000 0.484 0.288
B 0.000 0.111 0.470
Ho 0.500 0.177 0.913
Rh 0.500 0.640 0.322
B 0.000 0.250 0.079
Rh 0.500 0.860 0.822
B 0.000 0.750 0.421
Ho 0.500 0.823 0.087
B 0.000 0.366 0.816
Rh 0.500 0.140 0.178
B 0.000 0.705 0.765
B 0.000 0.795 0.265
Ho 0.500 0.323 0.413
B 0.000 0.611 0.030
B 0.000 0.389 0.970
B 0.000 0.295 0.235
Ho 0.500 0.555 0.874
B 0.000 0.134 0.316
B 0.000 0.447 0.566
B 0.000 0.553 0.434
B 0.000 0.053 0.066
B 0.000 0.984 0.212
Ho 0.500 0.055 0.626
B 0.000 0.634 0.184
Ho 0.500 0.677 0.587